Li2NiP2O7 after structural relaxation. Source: the Materials Project database, functional PBE+U.

Computed properties:
final energy	-308.34	eV for the cell shown
ΔE to the lowest computed polymorph	60	meV per atom
formation energy	-2448	meV per atom
magnetic moment	0.0	μB per cell

Cell: 7.030 12.516 8.110 Å, 92.01 64.39 106.48°
Fractional coordinates of all 48 atoms:
O (0.606, 0.649, 0.573)
O (0.968, 0.717, 0.282)
O (0.610, 0.667, 0.946)
O (0.086, 0.641, 0.971)
O (0.781, 0.962, 0.262)
O (0.394, 0.351, 0.427)
O (0.891, 0.833, 0.554)
O (0.468, 0.217, 0.782)
O (0.533, 0.852, 0.925)
O (0.586, 0.141, 0.471)
O (0.389, 0.333, 0.054)
O (0.581, 0.038, 0.739)
O (0.219, 0.037, 0.738)
O (0.109, 0.167, 0.446)
O (0.419, 0.962, 0.260)
O (0.106, 0.148, 0.073)
O (0.966, 0.648, 0.575)
O (0.032, 0.283, 0.718)
O (0.918, 0.462, 0.762)
O (0.719, 0.537, 0.239)
O (0.414, 0.859, 0.529)
O (0.281, 0.463, 0.761)
O (0.034, 0.353, 0.425)
O (0.467, 0.148, 0.075)
O (0.914, 0.359, 0.029)
O (0.082, 0.538, 0.239)
O (0.894, 0.851, 0.927)
O (0.533, 0.783, 0.217)
P (0.535, 0.895, 0.325)
P (0.854, 0.714, 0.506)
P (0.465, 0.105, 0.675)
P (0.146, 0.286, 0.494)
P (0.354, 0.214, 0.006)
P (0.034, 0.396, 0.825)
P (0.966, 0.605, 0.175)
P (0.646, 0.786, 0.994)
Li (0.885, 0.115, 0.345)
Li (0.884, 0.615, 0.845)
Li (0.116, 0.386, 0.155)
Li (0.385, 0.115, 0.345)
Li (0.385, 0.615, 0.844)
Li (0.115, 0.885, 0.655)
Li (0.615, 0.385, 0.155)
Li (0.616, 0.885, 0.655)
Ni (0.000, 0.500, 0.500)
Ni (0.500, 0.000, 0.000)
Ni (0.500, 0.500, 0.500)
Ni (0.000, 0.000, 0.000)